(1)
PmLuMg2, optimized geometry, DFT GGA-PBE; crystal system = cubic
1.0
4.399 -0.895 2.946
0.152 1.551 5.138
-0.093 -3.672 3.917
Mg Pm Lu
2 1 1
Direct
0.250 0.250 0.250
0.750 0.750 0.750
0.000 0.000 0.000
0.500 0.500 0.500

---

(2)
PrLuMg2, optimized geometry, DFT GGA-PBE; crystal system = cubic
1.0
0.000 3.818 3.818
3.818 0.000 3.818
3.818 3.818 0.000
Mg Pr Lu
2 1 1
Direct
0.750 0.750 0.750
0.250 0.250 0.250
0.000 0.000 0.000
0.500 0.500 0.500

---

(3)
LuMgRh2, optimized geometry, DFT GGA-PBE; crystal system = cubic
1.0
0.171 -4.589 -0.081
1.371 -2.313 3.723
-3.032 -2.454 2.424
Lu Rh Mg
1 2 1
Direct
0.000 0.000 0.000
0.250 0.250 0.250
0.750 0.750 0.750
0.500 0.500 0.500

---

(4)
LuMgTiS4, optimized geometry, DFT GGA-PBE; MP2020-corrected energy = -0.2292 Ha/atom; crystal system = orthorhombic
1.0
-6.266 0.850 -4.375
-3.273 -5.994 -3.235
-6.712 -2.543 2.362
Mg S Lu Ti
2 8 2 2
Direct
0.123 0.127 0.127
0.877 0.873 0.873
0.734 0.271 0.761
0.274 0.750 0.750
0.266 0.729 0.239
0.726 0.250 0.250
0.274 0.250 0.250
0.726 0.750 0.750
0.266 0.239 0.729
0.734 0.761 0.271
0.000 0.500 0.500
0.500 0.500 0.500
0.500 0.000 0.500
0.500 0.500 0.000

---

(5)
LuMg2Ti3S8, optimized geometry, DFT GGA-PBE; MP2020-corrected energy = -0.2331 Ha/atom; crystal system = trigonal
1.0
-3.454 4.266 5.132
-6.882 -1.693 2.495
-1.117 -2.461 7.015
S Ti Lu Mg
8 3 1 2
Direct
0.750 0.750 0.275
0.275 0.750 0.750
0.750 0.275 0.750
0.741 0.741 0.741
0.725 0.250 0.250
0.250 0.725 0.250
0.250 0.250 0.725
0.259 0.259 0.259
0.500 0.500 0.000
0.000 0.500 0.500
0.500 0.000 0.500
0.500 0.500 0.500
0.874 0.874 0.874
0.126 0.126 0.126

---

(6)
LuMg2V3S8, optimized geometry, DFT GGA-PBE; MP2020-corrected energy = -0.2327 Ha/atom; crystal system = trigonal
1.0
-5.910 -4.272 -1.338
-3.646 -3.233 5.579
-6.790 2.286 1.878
S V Mg Lu
8 3 2 1
Direct
0.752 0.752 0.278
0.261 0.262 0.262
0.248 0.722 0.248
0.278 0.752 0.752
0.248 0.248 0.722
0.752 0.278 0.752
0.739 0.738 0.738
0.722 0.248 0.248
0.000 0.500 0.500
0.500 0.000 0.500
0.500 0.500 0.000
0.125 0.126 0.126
0.875 0.874 0.874
0.500 0.500 0.500

---

(7)
Lu3Mg2VS8, optimized geometry, DFT GGA-PBE; MP2020-corrected energy = -0.2255 Ha/atom; crystal system = triclinic
1.0
6.660 -0.002 3.856
2.224 6.165 3.846
0.001 -0.011 7.709
Mg Lu S V
2 3 8 1
Direct
0.875 0.874 0.875
0.125 0.126 0.125
0.000 0.500 0.500
0.500 0.500 0.500
0.500 0.500 0.000
0.744 0.267 0.744
0.727 0.238 0.268
0.273 0.762 0.732
0.256 0.733 0.256
0.732 0.762 0.273
0.267 0.238 0.267
0.733 0.762 0.733
0.268 0.238 0.727
0.500 0.000 0.500

---

(8)
LuMgWS4, optimized geometry, DFT GGA-PBE; MP2020-corrected energy = -0.2385 Ha/atom; crystal system = orthorhombic
1.0
-3.380 -5.460 -4.034
0.843 -7.242 1.967
-5.851 -3.790 2.903
S W Mg Lu
8 2 2 2
Direct
0.277 0.751 0.751
0.735 0.271 0.759
0.280 0.249 0.249
0.723 0.249 0.249
0.735 0.759 0.271
0.720 0.751 0.751
0.265 0.729 0.241
0.265 0.241 0.729
0.500 0.500 0.000
0.500 0.000 0.500
0.873 0.877 0.877
0.127 0.123 0.123
0.000 0.500 0.500
0.500 0.500 0.500

---

no.,ΔE_f (eV/atom)
1,-0.079
2,-0.082
3,-0.803
4,-1.871
5,-1.736
6,-1.471
7,-1.925
8,-1.399